#1
! NaHF2 (PBE-GGA, relaxed); values from VASP
&SYSTEM
  ibrav = 0, nat = 4, ntyp = 3
/
ATOMIC_SPECIES
Na 22.99 Na.upf
H 1.01 H.upf
F 19.00 F.upf
ATOMIC_POSITIONS crystal
Na 0.2187 0.7813 0.0000
H 0.8978 0.1022 0.5000
F 0.1513 0.2776 0.3891
F 0.7224 0.8487 0.6109
CELL_PARAMETERS angstrom
2.4473 2.5865 0.0000
-2.4473 2.5865 0.0000
0.0000 0.4460 3.1532
! Crystal system: monoclinic
! Maximum piezoelectric response (C/m2): 1.5

#2
! NaHF2 (PBE-GGA, relaxed); values from VASP
&SYSTEM
  ibrav = 0, nat = 4, ntyp = 3
/
ATOMIC_SPECIES
Na 22.99 Na.upf
H 1.01 H.upf
F 19.00 F.upf
ATOMIC_POSITIONS crystal
Na 0.7372 0.2628 0.5000
H 0.0983 0.9017 0.0000
F 0.2835 0.1231 0.1094
F 0.8769 0.7165 0.8906
CELL_PARAMETERS angstrom
-0.7070 -2.0538 -3.1453
3.7790 0.3050 -0.4866
0.7457 -2.8790 1.2962
! Crystal system: monoclinic

Which structure loses on stability? #1 does.

#1
! NaSnPHO4F (PBE-GGA, relaxed); values from VASP
&SYSTEM
  ibrav = 0, nat = 36, ntyp = 6
/
ATOMIC_SPECIES
Na 22.99 Na.upf
Sn 118.71 Sn.upf
P 30.97 P.upf
H 1.01 H.upf
O 16.00 O.upf
F 19.00 F.upf
ATOMIC_POSITIONS crystal
Na 0.2304 0.7500 0.0092
Na 0.2696 0.2500 0.5092
Na 0.7304 0.7500 0.4908
Na 0.7696 0.2500 0.9908
Sn 0.2272 0.2500 0.1382
Sn 0.2728 0.7500 0.6382
Sn 0.7272 0.2500 0.3618
Sn 0.7728 0.7500 0.8618
P 0.2074 0.2500 0.8724
P 0.2926 0.7500 0.3724
P 0.7074 0.2500 0.6276
P 0.7926 0.7500 0.1276
H 0.0775 0.7500 0.2214
H 0.4225 0.2500 0.7214
H 0.5775 0.7500 0.2786
H 0.9225 0.2500 0.7786
O 0.0177 0.2500 0.6254
O 0.0781 0.0126 0.9062
O 0.0781 0.4874 0.9062
O 0.1207 0.2500 0.7899
O 0.3793 0.7500 0.2899
O 0.4219 0.5126 0.4062
O 0.4219 0.9874 0.4062
O 0.4823 0.7500 0.1254
O 0.5177 0.2500 0.8746
O 0.5781 0.0126 0.5938
O 0.5781 0.4874 0.5938
O 0.6207 0.2500 0.7101
O 0.8793 0.7500 0.2101
O 0.9219 0.5126 0.0938
O 0.9219 0.9874 0.0938
O 0.9823 0.7500 0.3746
F 0.1505 0.7500 0.5350
F 0.3495 0.2500 0.0350
F 0.6505 0.7500 0.9650
F 0.8495 0.2500 0.4650
CELL_PARAMETERS angstrom
4.8698 0.0000 0.0000
0.0000 5.3249 0.0000
0.0000 0.0000 19.1387
! Crystal system: orthorhombic

#2
! NaSnPHO4F (PBE-GGA, relaxed); values from VASP
&SYSTEM
  ibrav = 0, nat = 36, ntyp = 6
/
ATOMIC_SPECIES
Na 22.99 Na.upf
Sn 118.71 Sn.upf
P 30.97 P.upf
H 1.01 H.upf
O 16.00 O.upf
F 19.00 F.upf
ATOMIC_POSITIONS crystal
Na 0.2531 0.2500 0.5086
Na 0.7531 0.2500 0.9914
Na 0.7469 0.7500 0.4914
Na 0.2469 0.7500 0.0086
Sn 0.7049 0.2500 0.3616
Sn 0.2049 0.2500 0.1384
Sn 0.2951 0.7500 0.6384
Sn 0.7951 0.7500 0.8616
P 0.2760 0.7500 0.3728
P 0.7760 0.7500 0.1272
P 0.7240 0.2500 0.6272
P 0.2240 0.2500 0.8728
H 0.2053 0.7500 0.2609
H 0.7053 0.7500 0.2391
H 0.7947 0.2500 0.7391
H 0.2947 0.2500 0.7609
O 0.4077 0.9870 0.4048
O 0.9077 0.5130 0.0952
O 0.5923 0.4870 0.5952
O 0.0923 0.0130 0.9048
O 0.5923 0.0130 0.5952
O 0.0923 0.4870 0.9048
O 0.4077 0.5130 0.4048
O 0.9077 0.9870 0.0952
O 0.9711 0.7500 0.3770
O 0.4711 0.7500 0.1230
O 0.0289 0.2500 0.6230
O 0.5289 0.2500 0.8770
O 0.3650 0.7500 0.2914
O 0.8650 0.7500 0.2086
O 0.6350 0.2500 0.7086
O 0.1350 0.2500 0.7914
F 0.8300 0.2500 0.4636
F 0.3300 0.2500 0.0364
F 0.1700 0.7500 0.5364
F 0.6700 0.7500 0.9636
CELL_PARAMETERS angstrom
-3.1695 -3.4401 1.6836
4.0022 -3.4777 0.4284
3.2084 5.9286 18.1532
! Crystal system: orthorhombic

Which structure loses on stability? #1 does.

#1
! SiH14O4F6 (PBE-GGA, relaxed); values from VASP
&SYSTEM
  ibrav = 0, nat = 50, ntyp = 4
/
ATOMIC_SPECIES
Si 28.09 Si.upf
H 1.01 H.upf
O 16.00 O.upf
F 19.00 F.upf
ATOMIC_POSITIONS crystal
Si 0.5000 0.0000 0.5000
Si 0.0000 0.0000 0.0000
H 0.8583 0.5727 0.5796
H 0.3583 0.4273 0.9204
H 0.1417 0.4273 0.4204
H 0.6417 0.5727 0.0796
H 0.8635 0.6935 0.7777
H 0.3635 0.3065 0.7223
H 0.1365 0.3065 0.2223
H 0.6365 0.6935 0.2777
H 0.7919 0.8742 0.5137
H 0.2919 0.1258 0.9863
H 0.2081 0.1258 0.4863
H 0.7081 0.8742 0.0137
H 0.6992 0.1153 0.4165
H 0.1992 0.8847 0.0835
H 0.3008 0.8847 0.5835
H 0.8008 0.1153 0.9165
H 0.8192 0.1762 0.3534
H 0.3192 0.8238 0.1466
H 0.1808 0.8238 0.6466
H 0.6808 0.1762 0.8534
H 0.9290 0.3346 0.4314
H 0.4290 0.6654 0.0686
H 0.0710 0.6654 0.5686
H 0.5710 0.3346 0.9314
H 0.9134 0.4374 0.3237
H 0.4134 0.5626 0.1763
H 0.0866 0.5626 0.6763
H 0.5866 0.4374 0.8237
O 0.8186 0.6649 0.6574
O 0.3186 0.3351 0.8426
O 0.1814 0.3351 0.3426
O 0.6814 0.6649 0.1574
O 0.7670 0.0521 0.3782
O 0.2670 0.9479 0.1218
O 0.2330 0.9479 0.6218
O 0.7330 0.0521 0.8782
F 0.5995 0.2084 0.4457
F 0.0995 0.7916 0.0543
F 0.4005 0.7916 0.5543
F 0.9005 0.2084 0.9457
F 0.4207 0.2267 0.5289
F 0.9207 0.7733 0.9711
F 0.5793 0.7733 0.4711
F 0.0793 0.2267 0.0289
F 0.4733 0.0844 0.2164
F 0.9733 0.9156 0.2836
F 0.5267 0.9156 0.7836
F 0.0267 0.0844 0.7164
CELL_PARAMETERS angstrom
13.3362 0.0000 0.0000
0.0000 5.7560 0.0000
0.0000 1.9534 5.8173
! Crystal system: monoclinic

#2
! SiH14O4F6 (PBE-GGA, relaxed); values from VASP
&SYSTEM
  ibrav = 0, nat = 50, ntyp = 4
/
ATOMIC_SPECIES
Si 28.09 Si.upf
H 1.01 H.upf
O 16.00 O.upf
F 19.00 F.upf
ATOMIC_POSITIONS crystal
Si 0.0000 0.5000 0.5000
Si 0.0000 0.0000 0.0000
H 0.6413 0.0961 0.4156
H 0.3587 0.5961 0.0844
H 0.3587 0.9039 0.5844
H 0.6413 0.4039 0.9156
H 0.7341 0.1230 0.2128
H 0.2659 0.6230 0.2872
H 0.2659 0.8770 0.7872
H 0.7341 0.3770 0.7128
H 0.8610 0.1855 0.4754
H 0.1390 0.6855 0.0246
H 0.1390 0.8145 0.5246
H 0.8610 0.3145 0.9754
H 0.1116 0.2861 0.6016
H 0.8884 0.7861 0.8984
H 0.8884 0.7139 0.3984
H 0.1116 0.2139 0.1016
H 0.1413 0.1761 0.7301
H 0.8587 0.6761 0.7699
H 0.8587 0.8239 0.2699
H 0.1413 0.3239 0.2301
H 0.3602 0.0768 0.5682
H 0.6398 0.5768 0.9318
H 0.6398 0.9232 0.4318
H 0.3602 0.4232 0.0682
H 0.4645 0.0825 0.6734
H 0.5355 0.5825 0.8266
H 0.5355 0.9175 0.3266
H 0.4645 0.4175 0.1734
O 0.6976 0.1522 0.3454
O 0.3024 0.6522 0.1546
O 0.3024 0.8478 0.6546
O 0.6976 0.3478 0.8454
O 0.0298 0.2256 0.6370
O 0.9702 0.7256 0.8630
O 0.9702 0.7744 0.3630
O 0.0298 0.2744 0.1370
F 0.1901 0.3960 0.5272
F 0.8099 0.8960 0.9728
F 0.8099 0.6040 0.4728
F 0.1901 0.1040 0.0272
F 0.2259 0.5814 0.4919
F 0.7741 0.0814 0.0081
F 0.7741 0.4186 0.5081
F 0.2259 0.9186 0.9919
F 0.0881 0.5126 0.7779
F 0.9119 0.0126 0.7221
F 0.9119 0.4874 0.2221
F 0.0881 0.9874 0.2779
CELL_PARAMETERS angstrom
1.0683 0.1355 -5.8747
-6.2756 -11.4359 -1.4050
-5.5806 2.9133 1.2139
! Crystal system: monoclinic

Which structure loses on stability? #1 does.